# 1
# ZnHIO4

A geometry-optimized ZnHIO4 structure (PBE, the Materials Project database).

Calculated values
Size of the total moment (μB per cell): 0.0

Cell lengths 5.491, 6.494, 6.421 Å; angles 92.57, 96.09, 64.99 degrees
Element x y z (fractional)
O: 0.564 0.136 0.585
Zn: 0.549 0.916 0.364
O: 0.145 0.077 0.231
O: 0.984 0.669 0.499
O: 0.653 0.331 0.999
Zn: 0.465 0.084 0.864
H: 0.750 0.121 0.606
I: 0.937 0.368 0.135
O: 0.127 0.367 0.913
I: 0.306 0.632 0.635
H: 0.870 0.879 0.106
O: 0.222 0.923 0.731
O: 0.700 0.864 0.085
O: 0.494 0.633 0.413

# 2
# Nd4Te3N2

A geometry-optimized Nd4Te3N2 structure (PBE, the Materials Project database).

Cell lengths 7.430, 11.432, 11.780 Å; angles 90.00, 90.00, 90.00 degrees
Element x y z (fractional)
Te: 0.917 0.225 0.750
Te: 0.566 0.364 0.079
Te: 0.417 0.275 0.750
N: 0.553 0.032 0.122
Nd: 0.410 0.159 0.250
Te: 0.583 0.725 0.250
Te: 0.566 0.364 0.421
Nd: 0.231 0.032 0.750
Te: 0.066 0.136 0.079
Nd: 0.645 0.110 0.549
Nd: 0.090 0.659 0.750
Te: 0.066 0.136 0.421
Te: 0.434 0.636 0.579
Nd: 0.645 0.110 0.951
Nd: 0.910 0.341 0.250
N: 0.447 0.968 0.878
N: 0.053 0.468 0.122
Nd: 0.855 0.610 0.451
N: 0.947 0.532 0.878
N: 0.553 0.032 0.378
Nd: 0.590 0.841 0.750
Nd: 0.731 0.468 0.750
Nd: 0.855 0.610 0.049
Nd: 0.769 0.968 0.250
N: 0.053 0.468 0.378
Nd: 0.145 0.390 0.549
Nd: 0.355 0.890 0.451
Te: 0.083 0.775 0.250
Nd: 0.145 0.390 0.951
N: 0.947 0.532 0.622
Nd: 0.269 0.532 0.250
N: 0.447 0.968 0.622
Te: 0.434 0.636 0.921
Te: 0.934 0.864 0.921
Nd: 0.355 0.890 0.049
Te: 0.934 0.864 0.579

# 3
# LiFeAs

A geometry-optimized LiFeAs structure (PBE, the Materials Project database).

Calculated values
Size of the total moment (μB per cell): 2.1

Cell lengths 4.071, 4.071, 10.365 Å; angles 90.00, 90.00, 120.00 degrees
Element x y z (fractional)
Li: 0.000 0.000 0.252
Li: 0.000 0.000 0.748
Fe: 0.000 0.000 0.500
Li: 0.667 0.333 0.358
Fe: 0.333 0.667 0.132
As: 0.333 0.667 0.385
As: 0.667 0.333 0.615
As: 0.667 0.333 0.107
Fe: 0.667 0.333 0.868
As: 0.333 0.667 0.893
Li: 0.333 0.667 0.642
Fe: 0.000 0.000 0.000

# 4
# Ca17Y14S38

A geometry-optimized Ca17Y14S38 structure (PBE, the Materials Project database).

Calculated values
Size of the total moment (μB per cell): 3.4

Cell lengths 6.914, 6.914, 65.176 Å; angles 85.85, 85.85, 33.76 degrees
Element x y z (fractional)
S: 0.421 0.421 0.093
Y: 0.473 0.473 0.948
Ca: 0.896 0.896 0.289
S: 0.857 0.857 0.934
S: 0.153 0.153 0.566
S: 0.331 0.331 0.881
S: 0.530 0.530 0.303
Ca: 0.579 0.579 0.157
Y: 0.895 0.895 0.789
S: 0.107 0.107 0.460
S: 0.224 0.224 0.669
Ca: 0.948 0.948 0.395
S: 0.055 0.055 0.355
Ca: 0.527 0.527 0.052
Ca: 0.005 0.005 0.000
S: 0.631 0.631 0.513
S: 0.313 0.313 0.382
S: 0.428 0.428 0.591
Y: 0.421 0.421 0.842
Y: 0.052 0.052 0.607
Ca: 0.790 0.790 0.579
S: 0.684 0.684 0.617
Ca: 0.790 0.790 0.078
S: 0.897 0.897 0.539
Y: 0.311 0.311 0.635
S: 0.805 0.805 0.829
Y: 0.158 0.158 0.317
Ca: 0.316 0.316 0.131
S: 0.092 0.092 0.960
S: 0.751 0.751 0.723
Ca: 0.053 0.053 0.105
S: 0.564 0.564 0.908
Y: 0.001 0.001 0.500
Y: 0.684 0.684 0.369
Ca: 0.842 0.842 0.183
S: 0.947 0.947 0.146
Y: 0.528 0.528 0.551
S: 0.459 0.459 0.697
S: 0.261 0.261 0.278
Ca: 0.474 0.474 0.447
S: 0.038 0.038 0.856
S: 0.158 0.158 0.066
S: 0.512 0.512 0.803
S: 0.377 0.377 0.986
S: 0.210 0.210 0.172
S: 0.999 0.999 0.251
Y: 0.369 0.369 0.737
Ca: 0.263 0.263 0.526
S: 0.839 0.839 0.434
S: 0.984 0.984 0.751
S: 0.630 0.630 0.014
Ca: 0.369 0.369 0.236
Y: 0.948 0.948 0.895
Ca: 0.420 0.420 0.342
S: 0.737 0.737 0.225
S: 0.279 0.279 0.776
Ca: 0.105 0.105 0.210
S: 0.942 0.942 0.642
S: 0.787 0.787 0.329
Ca: 0.262 0.262 0.025
Y: 0.841 0.841 0.686
Y: 0.210 0.210 0.421
Y: 0.735 0.735 0.474
S: 0.369 0.369 0.487
S: 0.893 0.893 0.040
S: 0.684 0.684 0.119
Ca: 0.631 0.631 0.262
S: 0.473 0.473 0.198
S: 0.581 0.581 0.408

Number 1: electronic total energy -4.487 eV/atom. Number 2: electronic total energy -6.523 eV/atom. Number 3: electronic total energy -5.233 eV/atom. Number 4: electronic total energy -5.952 eV/atom.